The following is a DFT calculation (r²SCAN) of crystalline La3Te4Br at its relaxed geometry.

a b c (Å): 4.421 14.415 16.513
angles (deg): 90.00 90.00 90.00
Fractional coordinates of all 32 atoms:
Te  0.750  0.581  0.428
Te  0.750  0.048  0.717
Te  0.750  0.613  0.976
Te  0.250  0.081  0.072
Te  0.250  0.387  0.024
Te  0.250  0.419  0.572
Te  0.750  0.887  0.476
Te  0.250  0.113  0.524
Te  0.250  0.223  0.268
Te  0.750  0.919  0.928
Te  0.750  0.723  0.232
Te  0.250  0.952  0.283
Te  0.750  0.777  0.732
Te  0.750  0.452  0.217
Te  0.250  0.277  0.768
Te  0.250  0.548  0.783
La  0.250  0.426  0.368
La  0.750  0.090  0.374
La  0.750  0.250  0.119
La  0.750  0.574  0.632
La  0.750  0.250  0.619
La  0.250  0.590  0.126
La  0.250  0.910  0.626
La  0.750  0.926  0.132
La  0.250  0.750  0.381
La  0.750  0.410  0.874
La  0.250  0.074  0.868
La  0.250  0.750  0.881
Br  0.250  0.797  0.068
Br  0.750  0.297  0.432
Br  0.250  0.703  0.568
Br  0.750  0.203  0.932

Energy of formation from the pure elements: -1.962 eV/atom
Total DFT energy (no corrections): -27.48 eV per atom